Entry 1:
# BPPb4O8

A relaxed BPPb4O8 crystal (PBE-GGA, Materials Project).

a = 10.343 Å, b = 7.121 Å, c = 13.129 Å
α = 90.00°, β = 112.96°, γ = 90.00°
Space group P2_1/c (No. 14)
One atom of each set of equivalent atoms:
B: 0.042 0.234 0.362 (multiplicity 4)
P: 0.399 0.750 0.101 (multiplicity 4)
Pb: 0.048 0.695 0.425 (multiplicity 4)
Pb: 0.259 0.508 0.793 (multiplicity 4)
Pb: 0.268 0.009 0.765 (multiplicity 4)
Pb: 0.368 0.226 0.068 (multiplicity 4)
O: 0.025 0.633 0.597 (multiplicity 4)
O: 0.030 0.587 0.205 (multiplicity 4)
O: 0.185 0.249 0.388 (multiplicity 4)
O: 0.208 0.219 0.162 (multiplicity 4)
O: 0.294 0.584 0.089 (multiplicity 4)
O: 0.327 0.611 0.503 (multiplicity 4)
O: 0.434 0.641 0.712 (multiplicity 4)
O: 0.463 0.173 0.404 (multiplicity 4)

Properties
* magnetic moment: 0.0 μB/f.u.
* energy with MP2020 corrections: -6.895 eV/atom
* VASP energy: -6.502 eV per atom

***

Entry 2:
# BP2Pb2O9

A relaxed BP2Pb2O9 crystal (PBE-GGA, Materials Project).

a = 5.597 Å, b = 17.477 Å, c = 10.094 Å
α = 90.00°, β = 123.29°, γ = 90.00°
Space group P2_1/c (No. 14)
One atom of each set of equivalent atoms:
B: 0.097 0.189 0.239 (multiplicity 4)
P: 0.139 0.078 0.434 (multiplicity 4)
P: 0.321 0.638 0.552 (multiplicity 4)
Pb: 0.114 0.625 0.812 (multiplicity 4)
Pb: 0.478 0.035 0.190 (multiplicity 4)
O: 0.026 0.017 0.302 (multiplicity 4)
O: 0.111 0.582 0.554 (multiplicity 4)
O: 0.113 0.605 0.057 (multiplicity 4)
O: 0.186 0.250 0.196 (multiplicity 4)
O: 0.186 0.664 0.370 (multiplicity 4)
O: 0.258 0.149 0.381 (multiplicity 4)
O: 0.361 0.708 0.655 (multiplicity 4)
O: 0.405 0.055 0.594 (multiplicity 4)
O: 0.405 0.095 0.907 (multiplicity 4)

Properties
* polymorph energy (0 for the lowest one): 48 meV/atom
* magnetic moment: 1.0 μB/f.u.
* energy with MP2020 corrections: -7.260 eV/atom
* VASP energy: -6.818 eV per atom

***

Entry 3:
# RbZnBP2O8

A relaxed RbZnBP2O8 crystal (PBE-GGA, Materials Project).

a = 7.547 Å, b = 7.757 Å, c = 7.960 Å
α = 118.63°, β = 101.66°, γ = 103.71°
Space group P-1 (No. 2)
One atom of each set of equivalent atoms:
Rb: 0.225 0.338 0.083 (multiplicity 2)
Zn: 0.302 0.706 0.759 (multiplicity 2)
B: 0.202 0.926 0.431 (multiplicity 2)
P: 0.050 0.221 0.419 (multiplicity 2)
P: 0.465 0.890 0.225 (multiplicity 2)
O: 0.053 0.755 0.422 (multiplicity 2)
O: 0.091 0.815 0.776 (multiplicity 2)
O: 0.096 0.015 0.337 (multiplicity 2)
O: 0.238 0.419 0.524 (multiplicity 2)
O: 0.300 0.814 0.297 (multiplicity 2)
O: 0.338 0.095 0.644 (multiplicity 2)
O: 0.416 0.704 0.004 (multiplicity 2)
O: 0.481 0.101 0.250 (multiplicity 2)

Properties
* polymorph energy (0 for the lowest one): 0 meV/atom
* magnetic moment: 0.0 μB/f.u.
* energy with MP2020 corrections: -7.216 eV/atom
* VASP energy: -6.794 eV per atom

***

Entry 4:
# Sr6BP5O20

A relaxed Sr6BP5O20 crystal (PBE-GGA, Materials Project).

a = 9.894 Å, b = 9.894 Å, c = 19.239 Å
α = 90.00°, β = 90.00°, γ = 90.00°
Space group I-4c2 (No. 120)
One atom of each set of equivalent atoms:
Sr: 0.005 0.200 0.164 (multiplicity 16)
Sr: 0.223 0.277 0.000 (multiplicity 8)
B: 0.000 0.500 0.250 (multiplicity 4)
P: 0.000 0.000 0.000 (multiplicity 4)
P: 0.022 0.295 0.349 (multiplicity 16)
O: 0.009 0.165 0.807 (multiplicity 16)
O: 0.027 0.130 0.544 (multiplicity 16)
O: 0.077 0.402 0.291 (multiplicity 16)
O: 0.100 0.355 0.886 (multiplicity 16)
O: 0.148 0.276 0.394 (multiplicity 16)

Properties
* energy with MP2020 corrections: -7.714 eV/atom
* VASP energy: -7.285 eV per atom

***

| no. | mass density (kg/m³) |
| --- | --- |
| 1 | 7450 |
| 2 | 5079 |
| 3 | 3164 |
| 4 | 3567 |